# 1
Here is crystalline MgTa2Te4Br10O at its relaxed geometry from Materials Project. Energies are from PBE.

## Properties
theoretical density = 3.899 Mg/m³
space-group type = P1 (1)
polymorph energy (0 for the lowest one) = 11 meV/atom

Lattice parameters (Å, degrees): 8.2239 8.9933 10.3187 86.48 92.30 73.50
Sites, in units of the cell vectors:
1 Mg 0.7521 0.1263 0.1644
2 Ta 0.4705 0.3777 0.3743
3 Ta 0.5317 0.6298 0.6482
4 Te 0.9023 0.8476 0.0370
5 Te 0.9896 0.2320 0.0139
6 Te 0.1860 0.9397 0.1236
7 Te 0.8425 0.0886 0.8284
8 Br 0.4335 0.1909 0.1622
9 Br 0.5989 0.5136 0.1996
10 Br 0.1773 0.5379 0.3087
11 Br 0.7882 0.1747 0.4033
12 Br 0.6948 0.7573 0.4992
13 Br 0.3805 0.1865 0.5137
14 Br 0.2509 0.8052 0.5705
15 Br 0.8330 0.4234 0.7097
16 Br 0.4102 0.4657 0.7972
17 Br 0.5709 0.7968 0.8290
18 O 0.5122 0.4921 0.5048

***

# 2
Here is crystalline Mn3Ga3N5 at its relaxed geometry from Materials Project. Energies are from PBE.

## Properties
theoretical density = 5.605 Mg/m³
space-group type = P-1 (2)

Lattice parameters (Å, degrees): 5.9800 6.1356 8.1862 100.10 116.78 81.31
Sites, in units of the cell vectors:
1 Mn 0.8621 0.3772 0.7008
2 Mn 0.1379 0.6228 0.2992
3 Mn 0.6862 0.7128 0.9236
4 Mn 0.3138 0.2872 0.0764
5 Mn 0.6737 0.5167 0.2814
6 Mn 0.3263 0.4833 0.7186
7 Ga 0.8717 0.1987 0.0150
8 Ga 0.1283 0.8013 0.9850
9 Ga 0.6587 0.8395 0.6361
10 Ga 0.3413 0.1605 0.3639
11 Ga 0.1890 0.9970 0.6768
12 Ga 0.8110 0.0030 0.3232
13 N 0.2124 0.2926 0.8112
14 N 0.7876 0.7074 0.1888
15 N 0.7648 0.5527 0.5198
16 N 0.2352 0.4473 0.4802
17 N 0.6670 0.4047 0.8273
18 N 0.3330 0.5953 0.1727
19 N 0.2196 0.9299 0.4430
20 N 0.7804 0.0701 0.5570
21 N 0.3166 0.7753 0.8386
22 N 0.6834 0.2247 0.1614

***

# 3
Here is crystalline TbFeC2 at its relaxed geometry from Materials Project. Energies are from PBE.

## Properties
theoretical density = 8.006 Mg/m³
space-group type = Amm2 (38)

Lattice parameters (Å, degrees): 3.7306 3.7306 3.6819 90.00 90.00 104.87
Sites, in units of the cell vectors:
1 Tb 0.0050 0.9950 0.0000
2 Fe 0.6131 0.3869 0.5000
3 C 0.4532 0.8563 0.5000
4 C 0.1437 0.5468 0.5000

***

# 4
Here is crystalline Te3IO3F15 at its relaxed geometry from Materials Project. Energies are from PBE.

## Properties
theoretical density = 3.513 Mg/m³
space-group type = P2_1/c (14)

Lattice parameters (Å, degrees): 10.0152 10.6815 14.9021 88.14 90.00 90.00
Sites, in units of the cell vectors:
1 Te 0.2800 0.3153 0.5542
2 Te 0.7800 0.1847 0.4458
3 Te 0.1579 0.6024 0.2101
4 Te 0.6419 0.6258 0.1136
5 Te 0.7200 0.6847 0.4458
6 Te 0.8421 0.3976 0.7899
7 Te 0.6579 0.8976 0.7899
8 Te 0.1419 0.8742 0.8864
9 Te 0.3581 0.3742 0.8864
10 Te 0.2200 0.8153 0.5542
11 Te 0.8581 0.1258 0.1136
12 Te 0.3421 0.1024 0.2101
13 I 0.4741 0.5360 0.3085
14 I 0.0259 0.0360 0.3085
15 I 0.9741 0.9640 0.6915
16 I 0.5259 0.4640 0.6915
17 O 0.1880 0.9989 0.2286
18 O 0.5344 0.6633 0.2205
19 O 0.6577 0.5519 0.3757
20 O 0.9656 0.1633 0.2205
21 O 0.4656 0.3367 0.7795
22 O 0.1577 0.9481 0.6243
23 O 0.8423 0.0519 0.3757
24 O 0.0344 0.8367 0.7795
25 O 0.6880 0.5011 0.7714
26 O 0.3423 0.4481 0.6243
27 O 0.3120 0.4989 0.2286
28 O 0.8120 0.0011 0.7714
29 F 0.0741 0.5382 0.3146
30 F 0.8562 0.5824 0.4929
31 F 0.1089 0.8659 0.4548
32 F 0.0848 0.7039 0.5938
33 F 0.8351 0.7474 0.3555
34 F 0.4527 0.5235 0.9035
35 F 0.0088 0.7053 0.1904
36 F 0.9235 0.5223 0.8564
37 F 0.7659 0.5355 0.1845
38 F 0.9816 0.2151 0.0428
39 F 0.2309 0.6741 0.1044
40 F 0.2348 0.7255 0.8684
41 F 0.4912 0.2053 0.1904
42 F 0.8911 0.1341 0.5452
43 F 0.5741 0.9618 0.6854
44 F 0.7309 0.8259 0.8956
45 F 0.0473 0.0235 0.9035
46 F 0.5088 0.7947 0.8096
47 F 0.7828 0.8122 0.5186
48 F 0.5184 0.7151 0.0428
49 F 0.3562 0.9176 0.5071
50 F 0.6649 0.2474 0.3555
51 F 0.2445 0.9046 0.9874
52 F 0.7348 0.7745 0.1316
53 F 0.6438 0.0824 0.4929
54 F 0.5848 0.7961 0.4062
55 F 0.7652 0.2745 0.1316
56 F 0.7445 0.5954 0.0126
57 F 0.3351 0.7526 0.6445
58 F 0.2317 0.7327 0.2774
59 F 0.1649 0.2526 0.6445
60 F 0.2659 0.9645 0.8155
61 F 0.3911 0.3659 0.4548
62 F 0.4259 0.0382 0.3146
63 F 0.2555 0.4046 0.9874
64 F 0.5473 0.4765 0.0965
65 F 0.9912 0.2947 0.8096
66 F 0.1438 0.4176 0.5071
67 F 0.7341 0.0355 0.1845
68 F 0.0184 0.7849 0.9572
69 F 0.9152 0.2961 0.4062
70 F 0.2172 0.1878 0.4814
71 F 0.0765 0.4777 0.1436
72 F 0.2828 0.6878 0.4814
73 F 0.4235 0.9777 0.1436
74 F 0.7683 0.2673 0.7226
75 F 0.7172 0.3122 0.5186
76 F 0.2341 0.4645 0.8155
77 F 0.7691 0.3259 0.8956
78 F 0.9527 0.9765 0.0965
79 F 0.4152 0.2039 0.5938
80 F 0.7317 0.7673 0.7226
81 F 0.2652 0.2255 0.8684
82 F 0.2691 0.1741 0.1044
83 F 0.9259 0.4618 0.6854
84 F 0.4816 0.2849 0.9572
85 F 0.7555 0.0954 0.0126
86 F 0.5765 0.0223 0.8564
87 F 0.2683 0.2327 0.2774
88 F 0.6089 0.6341 0.5452

***

# 5
Here is crystalline BaLa2Ti3O10 at its relaxed geometry from Materials Project. Energies are from PBE.

## Properties
theoretical density = 5.471 Mg/m³
space-group type = Cmcm (63)
polymorph energy (0 for the lowest one) = 2 meV/atom

Lattice parameters (Å, degrees): 14.4996 14.4996 7.7444 90.00 90.00 164.46
Sites, in units of the cell vectors:
1 Ba 0.7350 0.2650 0.7500
2 Ba 0.2650 0.7350 0.2500
3 La 0.4231 0.5769 0.7500
4 La 0.5769 0.4231 0.2500
5 La 0.5745 0.4255 0.7500
6 La 0.4255 0.5745 0.2500
7 Ti 0.0000 0.0000 0.0000
8 Ti 0.0000 0.0000 0.5000
9 Ti 0.8532 0.1468 0.0008
10 Ti 0.1468 0.8532 0.9992
11 Ti 0.8532 0.1468 0.4992
12 Ti 0.1468 0.8532 0.5008
13 O 0.5000 0.5000 0.0000
14 O 0.5000 0.5000 0.5000
15 O 0.0037 0.9963 0.7500
16 O 0.9963 0.0037 0.2500
17 O 0.1292 0.8708 0.7500
18 O 0.8708 0.1292 0.2500
19 O 0.8631 0.1369 0.7500
20 O 0.1369 0.8631 0.2500
21 O 0.9324 0.0676 0.9867
22 O 0.0676 0.9324 0.0133
23 O 0.9324 0.0676 0.5133
24 O 0.0676 0.9324 0.4867
25 O 0.7921 0.2079 0.0278
26 O 0.2079 0.7921 0.9722
27 O 0.7921 0.2079 0.4722
28 O 0.2079 0.7921 0.5278
29 O 0.3671 0.6329 0.0037
30 O 0.6329 0.3671 0.9963
31 O 0.3671 0.6329 0.4963
32 O 0.6329 0.3671 0.5037

***

# 6
Here is crystalline CaTi8Zn2O19 at its relaxed geometry from Materials Project. Energies are from PBE.

## Properties
theoretical density = 4.245 Mg/m³
space-group type = P1 (1)

Lattice parameters (Å, degrees): 9.2861 9.3051 9.3087 68.49 68.52 68.58
Sites, in units of the cell vectors:
1 Ca 0.0042 0.9995 0.9963
2 Ca 0.4978 0.5016 0.5007
3 Ti 0.8483 0.7034 0.2824
4 Ti 0.2774 0.8500 0.6947
5 Ti 0.6963 0.2811 0.8504
6 Ti 0.1499 0.3080 0.7159
7 Ti 0.7217 0.1491 0.3039
8 Ti 0.2971 0.7242 0.1502
9 Ti 0.3528 0.5278 0.9237
10 Ti 0.9198 0.3565 0.5275
11 Ti 0.5204 0.9203 0.3635
12 Ti 0.6406 0.4716 0.0808
13 Ti 0.0782 0.6425 0.4784
14 Ti 0.4725 0.0777 0.6438
15 Ti 0.8739 0.9822 0.6490
16 Ti 0.6549 0.8655 0.9850
17 Ti 0.0132 0.3532 0.1310
18 Ti 0.3460 0.1323 0.0172
19 Zn 0.6913 0.6901 0.6915
20 Zn 0.3109 0.3087 0.3068
21 Zn 0.9887 0.6527 0.8663
22 Zn 0.1322 0.0122 0.3464
23 O 0.7018 0.0801 0.5400
24 O 0.5459 0.7000 0.0770
25 O 0.0854 0.5327 0.6942
26 O 0.3073 0.9147 0.4633
27 O 0.4606 0.2967 0.9205
28 O 0.9218 0.4577 0.2997
29 O 0.9319 0.2842 0.7609
30 O 0.7628 0.9316 0.2867
31 O 0.2843 0.7561 0.9331
32 O 0.0678 0.7167 0.2379
33 O 0.2457 0.0658 0.7156
34 O 0.7113 0.2392 0.0688
35 O 0.0583 0.8650 0.7590
36 O 0.7633 0.0590 0.8463
37 O 0.8402 0.7729 0.0641
38 O 0.9376 0.1596 0.2274
39 O 0.2433 0.9399 0.1341
40 O 0.1552 0.2341 0.9398
41 O 0.7756 0.7970 0.7873
42 O 0.2189 0.2163 0.2041
43 O 0.6271 0.7059 0.3671
44 O 0.3644 0.6261 0.7078
45 O 0.7034 0.3687 0.6282
46 O 0.3749 0.2938 0.6326
47 O 0.6306 0.3719 0.2962
48 O 0.2932 0.6366 0.3717
49 O 0.0018 0.8499 0.4998
50 O 0.4863 0.0140 0.8596
51 O 0.8577 0.4761 0.0178
52 O 0.9803 0.1446 0.5210
53 O 0.5136 0.9880 0.1398
54 O 0.1478 0.5033 0.9969
55 O 0.8639 0.6105 0.5129
56 O 0.5179 0.8645 0.6086
57 O 0.6137 0.5113 0.8641
58 O 0.1366 0.3842 0.4857
59 O 0.4866 0.1351 0.3897
60 O 0.3932 0.4857 0.1353

***

| no. | ΔE_f (eV per atom) |
| --- | --- |
| 1 | -0.922 |
| 2 | -0.198 |
| 3 | -0.256 |
| 4 | -2.097 |
| 5 | -3.681 |
| 6 | -3.263 |